A relaxed structure of Li2MnVP3O12, computed with PBE with a Hubbard U.

Properties
symmetry = P1
total energy after the MP2020 corrections = -7.74 eV per atom
energy relative to the elements = -4759.0 kJ/mol of formula units
calculated volume = 464 Å³ per cell
spin magnetization = 10.00 μB per cell
energy above the lowest structure with this stoichiometry = 0.004 eV per atom

Lattice parameters (Å, degrees): 9.0018 8.5535 8.3314 59.41 63.77 92.56
Last column: nearest neighbours and their distance in Å.
Atoms (fractional coordinates):
O1 0.8995 0.1720 0.6251  1 P 1.58
O2 0.2839 0.9024 0.8262  1 P 1.55
Mn1 0.0520 0.3569 0.2986  4 O 1.94-1.99
P1 0.2553 0.0340 0.2119  4 O 1.53-1.57
Li1 0.8697 0.6915 0.0400  4 O 1.96-2.12
O3 0.2945 0.2677 0.5887  1 P 1.54
Li2 0.3706 0.2098 0.3701  3 O 1.91-2.00
O4 0.8950 0.2086 0.2753  1 P 1.55
O5 0.2043 0.5432 0.9783  1 P 1.52
Li3 0.8689 0.9264 0.4005  4 O 2.01-2.10
O6 0.7953 0.8393 0.7067  1 P 1.52
O7 0.2240 0.1765 0.2714  1 P 1.53
P2 0.7485 0.9688 0.7821  4 O 1.52-1.58
O8 0.7210 0.7378 0.4019  1 P 1.56
O9 0.4165 0.6249 0.3852  1 P 1.57
O10 0.5787 0.3752 0.6155  1 P 1.56
O11 0.2141 0.4874 0.3250  1 P 1.54
O12 0.0920 0.4403 0.6958  1 P 1.52
P3 0.2456 0.4521 0.5056  4 O 1.52-1.57
V1 0.4339 0.1405 0.7185  6 O 1.87-2.05
O13 0.8936 0.5484 0.2951  1 P 1.53
O14 0.0963 0.7772 0.7478  1 P 1.57
O15 0.2745 0.1101 0.9886  1 P 1.54
O16 0.8062 0.4606 0.0233  1 P 1.55
P4 0.2511 0.7492 0.7864  4 O 1.52-1.57
O17 0.7301 0.8771 0.0120  1 P 1.58
O18 0.4218 0.8020 0.5772  1 P 1.54
Mn2 0.9583 0.6444 0.6956  4 O 1.93-2.02
O19 0.4265 0.9994 0.1984  1 P 1.55
P5 0.7538 0.5417 0.4917  4 O 1.53-1.56
Li4 0.8657 0.2593 0.8140  4 O 1.98-2.06
O20 0.0892 0.8428 0.3801  1 P 1.57
P6 0.7543 0.2472 0.2147  4 O 1.54-1.56
V2 0.5594 0.8473 0.2958  4 O 1.82-2.04
O21 0.5753 0.0001 0.8093  1 P 1.53
O22 0.8019 0.4998 0.6635  1 P 1.55
O23 0.5739 0.1960 0.4117  1 P 1.54
O24 0.7337 0.1113 0.1473  1 P 1.56

A relaxed structure of CaMoO3, computed with PBE with a Hubbard U.

Properties
symmetry = Pnma
total energy after the MP2020 corrections = -8.15 eV per atom
energy relative to the elements = -1260.6 kJ/mol of formula units
calculated volume = 252 Å³ per cell

Lattice parameters (Å, degrees): 5.5258 5.7034 7.9867 90.00 90.00 90.00
Last column: nearest neighbours and their distance in Å.
Atoms (fractional coordinates):
O1 0.8070 0.7957 0.4464  2 Mo 2.04-2.10
O2 0.3070 0.7043 0.5536  2 Mo 2.04-2.10
Mo1 0.5000 0.0000 0.0000  6 O 2.04-2.10
O3 0.8070 0.7957 0.0536  2 Mo 2.04-2.10
Ca1 0.5094 0.5474 0.2500  4 O 2.32-2.41
Ca2 0.4906 0.4526 0.7500  4 O 2.32-2.41
O4 0.1930 0.2043 0.5536  2 Mo 2.04-2.10
O5 0.9006 0.5431 0.7500  2 Mo 2.09, 1 Ca 2.32
Mo2 0.0000 0.5000 0.0000  6 O 2.04-2.10
O6 0.0994 0.4569 0.2500  2 Mo 2.09, 1 Ca 2.32
O7 0.4006 0.9569 0.2500  2 Mo 2.09, 1 Ca 2.32
O8 0.6930 0.2957 0.4464  2 Mo 2.04-2.10
O9 0.6930 0.2957 0.0536  2 Mo 2.04-2.10
Mo3 0.0000 0.5000 0.5000  6 O 2.04-2.10
O10 0.1930 0.2043 0.9464  2 Mo 2.04-2.10
O11 0.3070 0.7043 0.9464  2 Mo 2.04-2.10
O12 0.5994 0.0431 0.7500  2 Mo 2.09, 1 Ca 2.32
Ca3 0.0094 0.9526 0.7500  4 O 2.32-2.41
Mo4 0.5000 0.0000 0.5000  6 O 2.04-2.10
Ca4 0.9906 0.0474 0.2500  4 O 2.32-2.41

A relaxed structure of Li4Ti3V2Cu3O16, computed with PBE with a Hubbard U.

Properties
symmetry = Cm
total energy after the MP2020 corrections = -7.41 eV per atom
energy relative to the elements = -6428.5 kJ/mol of formula units
calculated volume = 295 Å³ per cell
spin magnetization = 3.00 μB per cell

Lattice parameters (Å, degrees): 5.9157 5.9157 9.7356 89.11 89.11 60.04
Last column: nearest neighbours and their distance in Å.
Atoms (fractional coordinates):
Cu1 0.6622 0.1726 0.2968  3 O 1.92-2.11
O1 0.8175 0.8175 0.4299  1 V 1.73
O2 0.5172 0.5172 0.6658  1 Li 2.00, 2 Ti 2.01, 1 V 2.16
O3 0.4960 0.9627 0.6524  1 Ti 1.82, 1 Li 1.99
V1 0.6617 0.6617 0.5008  3 O 1.73-1.82
Li1 0.3354 0.3354 0.5938  4 O 1.99-2.00
O4 0.6619 0.6619 0.8908  1 Cu 1.95, 2 Ti 1.97, 1 Li 1.98
O5 0.8267 0.3504 0.4133  1 V 1.82, 1 Li 2.02
O6 0.3293 0.3293 0.3883  2 Cu 1.92, 1 Ti 1.96, 1 Li 2.00
O7 0.1600 0.1600 0.8951  2 Ti 1.99, 1 Li 2.06
O8 0.9627 0.4960 0.6524  1 Ti 1.82, 1 Li 1.99
O9 0.9951 0.9951 0.6972  1 Li 1.86, 1 Cu 1.92, 2 Ti 1.97
Li2 0.6734 0.6734 0.0935  4 O 1.95-1.98
Cu2 0.1726 0.6622 0.2968  3 O 1.92-2.11
O10 0.0365 0.4709 0.1496  1 Ti 1.84, 1 Li 1.95
O11 0.4709 0.0365 0.1496  1 Ti 1.84, 1 Li 1.95
O12 0.6509 0.1815 0.9119  1 V 1.79
O13 0.1815 0.6509 0.9119  1 V 1.79
Ti1 0.3454 0.8461 0.7775  5 O 1.82-2.01
Ti2 0.1815 0.1815 0.2629  4 O 1.84-1.96
O14 0.4840 0.4840 0.1333  1 V 1.73
V2 0.3616 0.3616 0.0138  3 O 1.73-1.79
Ti3 0.8461 0.3454 0.7775  5 O 1.82-2.01
Cu3 0.8287 0.8287 0.7911  2 O 1.92-1.95
Li3 0.9969 0.9969 0.5064  4 O 1.86-2.02
O15 0.0004 0.0004 0.2101  1 Li 1.89, 2 Cu 1.92, 1 Ti 1.93
Li4 0.9930 0.9930 0.0162  4 O 1.89-2.06
O16 0.3504 0.8267 0.4133  1 V 1.82, 1 Li 2.02

A relaxed structure of MgMoOsPb2O6, computed with PBE with a Hubbard U.

Properties
symmetry = P1
total energy after the MP2020 corrections = -7.09 eV per atom
energy relative to the elements = -1654.6 kJ/mol of formula units
calculated volume = 185 Å³ per cell
spin magnetization = 4.00 μB per cell
energy above the lowest structure with this stoichiometry = 0.000 eV per atom

Lattice parameters (Å, degrees): 6.8622 6.2020 6.7576 89.62 127.19 118.19
Last column: nearest neighbours and their distance in Å.
Atoms (fractional coordinates):
Mo1 0.9742 0.9894 0.0019  6 O 2.15-2.20
O1 0.9848 0.2273 0.2489  1 Os 1.82
O2 0.9389 0.1819 0.7273  1 Mg 1.91
Pb1 0.3386 0.1872 0.8271  3 O 2.30-2.39
O3 0.0347 0.7859 0.2804  1 Os 1.82
Mg1 0.8414 0.4182 0.5841  3 O 1.91-1.95
Pb2 0.5586 0.7395 0.3085  3 O 2.48-2.60
O4 0.9630 0.7656 0.7463  1 Mg 1.94, 1 Mo 2.17
O5 0.4503 0.2778 0.2262  1 Mg 1.95, 1 Mo 2.17
Os1 0.1670 0.5805 0.4049  3 O 1.82-1.88
O6 0.4986 0.7218 0.7798  1 Os 1.88

A relaxed structure of FeP2PbO7, computed with PBE with a Hubbard U.

Properties
symmetry = P2_1/c
total energy after the MP2020 corrections = -7.65 eV per atom
energy relative to the elements = -2561.0 kJ/mol of formula units
calculated volume = 601 Å³ per cell
spin magnetization = 16.00 μB per cell

Lattice parameters (Å, degrees): 8.4476 5.4626 14.0563 67.85 90.00 90.00
Last column: nearest neighbours and their distance in Å.
Atoms (fractional coordinates):
O1 0.6885 0.7055 0.0906  1 P 1.54
Pb1 0.8247 0.4340 0.2784  7 O 2.48-2.77
O2 0.9366 0.2144 0.7983  1 P 1.53
O3 0.3649 0.8336 0.3490  1 P 1.53
O4 0.6714 0.4330 0.9751  1 P 1.54
O5 0.1351 0.8336 0.8490  1 P 1.53
P1 0.0393 0.0854 0.1640  4 O 1.53-1.62
O6 0.6212 0.7941 0.2655  1 P 1.54
P2 0.9607 0.9146 0.8360  4 O 1.53-1.62
P3 0.6997 0.7038 0.9817  4 O 1.54-1.63
O7 0.9042 0.9211 0.4043  1 P 1.55
O8 0.0634 0.7856 0.2017  1 P 1.53
Fe1 0.3499 0.9255 0.8943  5 O 2.05-2.20
O9 0.8649 0.1664 0.1510  1 P 1.53
O10 0.4042 0.0789 0.0957  1 P 1.55
O11 0.8788 0.7941 0.7655  1 P 1.54
P4 0.5393 0.9146 0.3360  4 O 1.53-1.62
O12 0.3828 0.2157 0.5510  2 P 1.62-1.63
P5 0.3003 0.2962 0.0183  4 O 1.54-1.63
O13 0.6172 0.7843 0.4490  2 P 1.62-1.63
O14 0.3788 0.2059 0.7345  1 P 1.54
O15 0.0958 0.0789 0.5957  1 P 1.55
Fe2 0.1501 0.9255 0.3943  5 O 2.05-2.20
Pb2 0.6753 0.4340 0.7784  7 O 2.48-2.77
O16 0.5958 0.9211 0.9043  1 P 1.55
Fe3 0.6501 0.0745 0.1057  5 O 2.05-2.20
O17 0.8286 0.4330 0.4751  1 P 1.54
O18 0.1714 0.5670 0.5249  1 P 1.54
O19 0.1212 0.2059 0.2345  1 P 1.54
O20 0.4366 0.7856 0.7017  1 P 1.53
O21 0.5634 0.2144 0.2983  1 P 1.53
O22 0.3286 0.5670 0.0249  1 P 1.54
Pb3 0.1753 0.5660 0.7216  7 O 2.48-2.77
Pb4 0.3247 0.5660 0.2216  7 O 2.48-2.77
Fe4 0.8499 0.0745 0.6057  5 O 2.05-2.20
O23 0.1885 0.2945 0.4094  1 P 1.54
P6 0.4607 0.0854 0.6640  4 O 1.53-1.62
O24 0.8828 0.7843 0.9490  2 P 1.62-1.63
O25 0.3115 0.2945 0.9094  1 P 1.54
O26 0.8115 0.7055 0.5906  1 P 1.54
P7 0.8003 0.7038 0.4817  4 O 1.54-1.63
P8 0.1997 0.2962 0.5183  4 O 1.54-1.63
O27 0.1172 0.2157 0.0510  2 P 1.62-1.63
O28 0.6351 0.1664 0.6510  1 P 1.53

A relaxed structure of Sm4MgTi2Mn2O12, computed with PBE with a Hubbard U.

Properties
symmetry = P1
total energy after the MP2020 corrections = -8.59 eV per atom
energy relative to the elements = -6411.8 kJ/mol of formula units
calculated volume = 273 Å³ per cell
spin magnetization = 8.00 μB per cell
energy above the lowest structure with this stoichiometry = 0.000 eV per atom

Lattice parameters (Å, degrees): 5.4784 5.9773 8.3566 89.01 90.63 88.30
Last column: nearest neighbours and their distance in Å.
Atoms (fractional coordinates):
Ti1 0.4927 0.0132 0.5083  6 O 2.00-2.15
O1 0.3642 0.9766 0.2768  1 Mg 1.97, 1 Ti 2.07
O2 0.1852 0.2241 0.9087  1 Mg 1.96, 1 Ti 2.17
Sm1 0.5220 0.6110 0.2844  6 O 2.31-2.52
O3 0.1879 0.2064 0.5539  1 Ti 2.04, 1 Mn 2.17
Sm2 0.9441 0.0905 0.2837  6 O 2.33-2.46
O4 0.2704 0.6886 0.9172  1 Ti 2.02, 1 Mn 2.02
Mn1 0.9732 0.5165 0.5309  5 O 2.14-2.30
Sm3 0.0504 0.9461 0.7365  6 O 2.31-2.54
Mn2 0.6049 0.8224 0.9172  4 O 2.02-2.17
Ti2 0.9922 0.5125 0.0066  6 O 2.02-2.17
O5 0.7919 0.8267 0.4625  1 Ti 2.00, 1 Mn 2.14
O6 0.3026 0.7124 0.5585  1 Ti 2.14, 1 Mn 2.19, 1 Sm 2.38
O7 0.8188 0.7963 0.1153  1 Mn 2.02, 1 Ti 2.14
O8 0.7130 0.3369 0.0937  1 Mg 1.95, 1 Ti 2.02
Mg1 0.3981 0.1940 0.0988  4 O 1.95-2.03
O9 0.1796 0.4198 0.2119  1 Mg 2.03, 1 Ti 2.05
O10 0.8241 0.5868 0.7813  1 Ti 2.12, 2 Mn 2.17-2.30, 1 Sm 2.33
O11 0.6288 0.0552 0.7360  1 Mn 2.05, 1 Ti 2.06
Sm4 0.4547 0.4175 0.7304  6 O 2.33-2.47
O12 0.6763 0.3174 0.4543  1 Mn 2.14, 1 Ti 2.15, 1 Sm 2.37

A relaxed structure of Li2VF6, computed with PBE with a Hubbard U.

Properties
symmetry = Cc
total energy after the MP2020 corrections = -5.79 eV per atom
energy relative to the elements = -2675.7 kJ/mol of formula units
calculated volume = 254 Å³ per cell
spin magnetization = 2.00 μB per cell
energy above the lowest structure with this stoichiometry = 0.068 eV per atom

Lattice parameters (Å, degrees): 5.3965 5.3965 9.9455 88.13 88.13 61.28
Last column: nearest neighbours and their distance in Å.
Atoms (fractional coordinates):
F1 0.4057 0.4438 0.9023  1 Li 1.88, 1 V 1.89
Li1 0.4916 0.7239 0.9573  3 F 1.88-1.98
F2 0.0441 0.9423 0.9462  1 V 1.83
Li2 0.3469 0.0179 0.6705  4 F 1.89-1.94
F3 0.1440 0.8158 0.6977  1 V 1.87, 1 Li 1.89
F4 0.3794 0.0660 0.2401  1 V 1.85, 1 Li 1.94
V1 0.6705 0.0298 0.3463  6 F 1.83-1.96
V2 0.0298 0.6705 0.8463  6 F 1.83-1.96
F5 0.8158 0.1440 0.1977  1 V 1.87, 1 Li 1.89
F6 0.4438 0.4057 0.4023  1 Li 1.88, 1 V 1.89
F7 0.8863 0.5492 0.0039  2 Li 1.91-1.94, 1 V 1.96
Li3 0.0179 0.3469 0.1705  4 F 1.89-1.94
F8 0.0660 0.3794 0.7401  1 V 1.85, 1 Li 1.94
F9 0.8751 0.6302 0.3066  2 Li 1.92-1.98, 1 V 1.94
F10 0.9423 0.0441 0.4462  1 V 1.83
F11 0.5492 0.8863 0.5039  2 Li 1.91-1.94, 1 V 1.96
Li4 0.7239 0.4916 0.4573  3 F 1.88-1.98
F12 0.6302 0.8751 0.8066  2 Li 1.92-1.98, 1 V 1.94

A relaxed structure of KMnO2, computed with PBE with a Hubbard U.

Properties
total energy after the MP2020 corrections = -6.97 eV per atom
energy relative to the elements = -742.3 kJ/mol of formula units
calculated volume = 226 Å³ per cell
spin magnetization = 0.00 μB per cell

Lattice parameters (Å, degrees): 5.8926 6.3720 6.5767 113.85 90.01 89.99
Last column: nearest neighbours and their distance in Å.
Atoms (fractional coordinates):
Mn1 0.5011 0.9999 0.0001  4 O 1.96
O1 0.9994 0.6803 0.1846  2 Mn 1.96
Mn2 0.7489 0.5000 0.0001  4 O 1.96
O2 0.4994 0.6804 0.1846  2 Mn 1.96
K1 0.0001 0.5000 0.4999  6 O 2.68-2.75, 2 K 2.95
K2 0.7499 0.0001 0.5000  6 O 2.68-2.75, 2 K 2.95
Mn3 0.0011 0.0000 0.0001  4 O 1.96
O3 0.2506 0.8197 0.8153  2 Mn 1.96
O4 0.2506 0.1802 0.1845  2 Mn 1.96
K3 0.5001 0.5000 0.4999  6 O 2.68-2.75, 2 K 2.95
K4 0.2499 0.0001 0.5000  6 O 2.68-2.75, 2 K 2.95
O5 0.7506 0.1802 0.1845  2 Mn 1.96
O6 0.7506 0.8197 0.8153  2 Mn 1.96
O7 0.9994 0.3198 0.8155  2 Mn 1.96
O8 0.4994 0.3198 0.8154  2 Mn 1.96
Mn4 0.2489 0.5001 0.0001  4 O 1.96